Entry 1:
6
Lattice="-0.517 4.028 -0.313 0.290 -0.278 -4.053 -6.771 -0.901 -0.423" Properties=species:S:1:pos:R:3 comment="NdClO | the Materials Project database | PBE | relaxed" crystal_system=tetragonal rho_g_cm3=5.72 e_tot_ha_per_atom=-0.2533 pbc="T T T"
O 0.000 0.000 0.000
Nd -5.457 -0.885 -2.377
Nd -1.427 1.858 -0.230
Cl -2.375 -0.474 -2.184
Cl -4.509 1.448 -0.422
O -0.113 1.875 -2.183



Entry 2:
11
Lattice="6.464 0.047 -0.564 0.902 -5.910 2.713 0.749 -5.944 -5.997" Properties=species:S:1:pos:R:3 comment="Re2Cl5O4 | the Materials Project database | PBE | relaxed" relative_energy_kj_per_mol_atoms=0.00 crystal_system=triclinic rho_g_cm3=3.05 e_tot_ha_per_atom=-0.2192 pbc="T T T"
O 2.823 -6.241 -4.033
Cl 3.468 -10.516 -3.966
O 4.147 -7.390 -1.821
Cl 6.178 -7.334 -5.209
Re 0.956 -5.882 2.666
Cl 7.622 -10.145 -2.375
O 6.312 -5.560 0.861
Cl 4.351 -4.180 -1.977
O 1.739 -6.008 -1.458
Re 3.209 -6.048 -2.350
Cl 1.217 -1.788 -0.819



Entry 3:
26
Lattice="-1.880 2.352 4.449 3.088 0.273 4.390 6.498 15.682 -5.546" Properties=species:S:1:pos:R:3 comment="Zr2Mn12GaSn11 | the Materials Project database | PBE | relaxed" crystal_system=orthorhombic rho_g_cm3=8.23 e_tot_ha_per_atom=-0.2503 pbc="T T T"
Sn 0.422 0.922 2.931
Sn 5.681 13.511 1.733
Sn 4.046 9.568 3.127
Mn 5.609 9.945 -1.273
Mn 4.522 7.262 4.544
Mn 0.534 4.506 5.906
Sn 6.887 9.444 1.147
Ga 2.429 5.670 4.504
Zr 2.994 14.114 0.290
Sn 2.028 4.796 1.562
Sn 0.815 1.772 5.884
Zr -0.255 6.273 3.063
Sn 5.275 12.638 -1.213
Sn 9.035 14.626 -0.685
Mn 1.452 3.358 3.735
Mn 3.125 10.985 -1.245
Sn 3.632 8.670 0.191
Mn 7.227 13.851 -2.654
Mn 3.014 7.129 2.401
Sn 5.776 6.761 2.096
Mn 2.097 8.277 4.572
Mn 2.960 3.491 5.878
Mn 4.743 14.890 -2.626
Mn 4.670 11.122 0.951
Sn 3.649 1.627 3.912
Mn 6.288 15.027 -0.430



Entry 4:
5
Lattice="-0.120 -1.519 -2.934 2.893 1.069 1.191 0.993 -6.253 3.198" Properties=species:S:1:pos:R:3 comment="CaPd2N2 | the Materials Project database | PBE | relaxed" crystal_system=trigonal rho_g_cm3=6.95 e_tot_ha_per_atom=-0.2094 pbc="T T T"
N 2.168 -1.557 0.718
Pd 2.728 -5.080 2.519
N 1.598 -5.147 0.738
Pd 1.038 -1.624 -1.064
Ca 0.496 -3.126 1.599



Entry 5:
14
Lattice="-1.844 6.698 1.224 -6.214 1.438 3.028 -0.201 2.456 6.596" Properties=species:S:1:pos:R:3 comment="Mg2Fe3MoS8 | the Materials Project database | PBE | relaxed" crystal_system=triclinic rho_g_cm3=3.80 e_tot_ha_per_atom=-0.2109 pbc="T T T"
S -3.114 5.771 3.405
S -2.278 2.740 2.848
S -5.890 6.739 5.012
Fe -3.208 1.948 4.812
Fe -4.230 6.524 8.722
S -3.401 7.133 6.645
S -5.146 4.822 7.444
Mo -7.237 6.016 6.938
S -5.982 7.852 8.000
Fe -4.129 5.296 5.424
Mg -0.977 1.335 1.352
S -4.859 3.460 4.203
Mg -7.282 9.257 9.496
S -2.369 3.853 5.836



Entry 6:
8
Lattice="4.799 2.774 4.932 -3.907 3.812 5.026 -0.852 -6.917 -2.545" Properties=species:S:1:pos:R:3 comment="Cu2SiHgTe4 | the Materials Project database | PBE | relaxed" crystal_system=tetragonal rho_g_cm3=6.25 e_tot_ha_per_atom=-0.1258 pbc="T T T"
Te 2.558 3.948 6.306
Cu 2.197 -0.425 3.683
Te 0.140 0.744 4.743
Te -1.423 4.423 6.349
Te -0.341 -2.859 -0.028
Hg 0.000 0.000 0.000
Si 0.446 3.293 4.979
Cu -2.156 0.094 3.730



Entry 7:
23
Lattice="-2.958 -9.758 -5.591 6.016 9.895 1.064 4.023 -2.695 2.535" Properties=species:S:1:pos:R:3 comment="LiY4Ti4S4O10 | the Materials Project database | PBE | relaxed" crystal_system=monoclinic rho_g_cm3=4.14 e_tot_ha_per_atom=-0.3037 pbc="T T T"
O 0.681 -1.790 -2.892
Ti 2.597 -2.202 -3.319
Li 1.529 0.068 -2.263
Y 3.824 -5.183 -2.588
O 5.113 7.917 0.394
S 1.953 -6.012 -0.597
O 4.443 0.697 -0.327
Y 0.280 -3.895 -1.611
S 5.128 3.453 -1.395
O 3.838 -2.008 0.754
O -2.055 -7.780 -4.921
Ti 4.484 -0.357 1.327
O 7.121 6.561 1.659
O 2.378 1.926 -1.634
O 3.243 -0.551 -2.746
O 2.638 -3.256 -1.665
Ti 3.007 -3.591 0.232
Ti 4.074 1.032 -2.224
S 1.454 -4.592 -4.120
Y 3.257 2.624 0.596
S 5.627 2.033 2.128
O -0.040 -9.120 -3.651
Y 6.801 1.336 -0.381



Entry 8:
21
Lattice="-4.589 0.309 -2.576 -2.334 -1.963 4.550 -1.345 7.526 3.859" Properties=species:S:1:pos:R:3 comment="LiAl4Tl4O12 | the Materials Project database | PBE | relaxed" relative_energy_kj_per_mol_atoms=0.00 crystal_system=triclinic rho_g_cm3=7.63 e_tot_ha_per_atom=-0.2128 pbc="T T T"
O -6.056 3.804 5.675
Al -6.441 3.424 1.974
O -6.156 2.172 3.393
Al -5.895 5.423 6.571
O -4.726 3.118 1.304
Al -6.831 6.771 3.531
Tl -5.026 2.290 -0.986
Al -3.060 3.960 0.919
O -4.636 -0.923 1.305
Tl -1.146 5.670 2.904
O -1.813 0.530 2.450
O -2.299 2.335 0.303
O -3.108 6.636 3.698
O -6.169 5.074 2.775
Li -2.888 0.416 0.606
O -3.714 2.886 4.823
Tl -4.043 1.219 2.765
Tl -4.350 4.854 4.031
O -2.398 3.833 2.756
O -3.967 0.207 -1.160
O -3.920 5.532 6.331



Entry 9:
19
Lattice="2.928 0.631 -2.574 2.556 0.344 2.991 5.677 -15.753 -0.433" Properties=species:S:1:pos:R:3 comment="SrTiNb2Bi2PbO12 | the Materials Project database | PBE | relaxed" crystal_system=tetragonal rho_g_cm3=7.34 e_tot_ha_per_atom=-0.2763 pbc="T T T"
O 5.488 -7.466 1.383
Nb 3.489 -3.647 0.045
Nb 7.664 -11.088 -0.060
Pb 5.339 -13.883 -0.359
O 5.674 -7.322 -1.400
O 3.827 -5.516 -0.029
Bi 4.430 -8.855 -0.161
O 4.906 -3.072 -1.232
O 7.325 -9.216 0.014
O 6.426 -11.482 -1.564
O 4.215 0.752 -1.080
Sr 5.834 -0.963 0.341
Ti 2.747 0.459 0.207
O 6.240 -11.625 1.219
O 3.096 -1.474 0.131
O 4.720 -3.216 1.551
O 4.029 0.609 1.702
O 8.067 -13.321 -0.148
Bi 6.736 -5.955 0.143



Entry 10:
12
Lattice="-2.508 2.508 12.938 2.508 -2.508 12.938 2.508 2.508 -12.938" Properties=species:S:1:pos:R:3 comment="K3Mg2Cl7 | the Materials Project database | PBE | relaxed" crystal_system=tetragonal rho_g_cm3=2.11 e_tot_ha_per_atom=-0.1295 pbc="T T T"
Cl 0.000 2.508 2.478
Cl 0.000 0.000 0.000
Mg 0.000 0.000 2.540
Cl 0.000 0.000 5.026
K 0.000 0.000 17.688
Mg 0.000 0.000 23.337
Cl 0.000 2.508 10.460
K 0.000 0.000 8.189
Cl 2.508 0.000 2.478
Cl 0.000 0.000 20.851
Cl 2.508 0.000 10.460
K 0.000 0.000 12.938



Entry 11:
7
Lattice="-1.789 -2.470 -1.991 4.873 -3.950 0.524 -0.905 -3.690 5.392" Properties=species:S:1:pos:R:3 comment="LiZr2S4 | the Materials Project database | PBE | relaxed" crystal_system=monoclinic rho_g_cm3=3.67 e_tot_ha_per_atom=-0.2433 pbc="T T T"
Zr 0.000 0.000 0.000
S 2.552 -5.116 0.724
S 2.953 -5.750 4.482
S 1.015 -1.890 1.434
Li 1.984 -3.820 2.958
Zr 1.542 -3.210 -0.734
S -0.372 -4.995 3.200



Entry 12:
120
Lattice="9.224 0.011 -0.016 -4.603 7.974 0.014 -0.041 0.016 22.843" Properties=species:S:1:pos:R:3 comment="Na6Zr3ZnSi4S2O24 | the Materials Project database | PBE | relaxed" crystal_system=triclinic rho_g_cm3=3.07 e_tot_ha_per_atom=-0.2558 pbc="T T T"
O 5.407 6.363 18.315
Na 4.617 2.678 7.293
Na 3.482 0.183 17.075
O -0.824 1.654 4.563
O 0.828 6.725 17.198
Si 3.251 4.998 13.358
O 8.175 1.438 13.364
Na 1.429 2.684 13.371
Na 7.459 2.855 17.173
Si 1.322 2.424 17.122
S 2.728 0.018 5.779
O -3.657 6.615 9.407
Zr -0.023 5.394 18.604
Na 2.807 0.253 9.358
O 7.503 0.116 18.313
O 5.912 3.979 3.222
O -0.681 3.719 5.755
O 0.917 1.477 18.426
O 0.528 3.865 17.194
Si 1.924 2.695 1.898
Zn -4.608 7.969 8.122
S -3.280 5.655 17.158
Si -1.420 7.734 20.923
O 0.694 3.641 10.899
O -3.063 7.858 20.852
O 3.907 4.370 11.971
O 6.408 2.515 5.685
O -0.743 3.722 22.203
O 3.972 0.812 14.703
O 3.533 4.017 14.591
Na 3.429 5.432 9.371
O -1.660 5.247 1.746
Na 2.925 5.415 2.029
S -1.372 2.368 5.780
O 1.887 5.507 22.196
O 3.571 6.508 20.818
O 6.154 2.904 20.988
O 1.599 5.173 13.250
Zr 0.055 5.379 11.783
Si 5.941 4.959 1.954
O 3.789 1.288 20.974
O 1.729 5.553 5.754
O -1.060 6.713 5.757
Na 1.567 7.702 13.501
O 0.595 6.956 8.262
O 3.703 6.328 7.000
O -1.040 3.883 19.556
O 1.040 4.005 8.279
O -1.767 5.631 17.201
O 1.766 5.217 19.775
O 8.235 1.631 6.985
O 1.582 0.168 13.458
O 3.540 1.249 12.072
O 1.103 6.784 10.857
Zr -0.016 5.340 7.234
O -0.770 6.700 13.211
Zn 4.611 2.650 3.796
Na 0.310 5.385 15.289
O 5.588 1.453 17.060
O 2.936 2.472 17.155
Na -2.988 5.627 13.120
O 0.683 1.644 15.784
O 3.835 4.299 5.691
Na 7.545 2.333 9.288
Na -4.588 7.928 11.184
S 7.301 2.683 13.358
Na 0.028 5.311 3.802
O 7.604 0.193 2.174
O 3.450 4.076 20.996
O -1.006 3.845 13.226
O -0.725 1.519 20.846
Si -1.450 3.018 20.902
O -2.768 7.878 4.575
S 2.676 5.347 20.957
O 0.818 6.722 1.737
O 2.741 7.828 15.696
O 5.789 1.306 0.679
Si 1.313 2.971 9.526
Na -1.564 7.832 1.950
Zr 4.486 2.692 10.921
Si 1.369 7.708 9.503
O -0.803 6.973 19.595
Si -2.722 5.295 9.543
Zr -0.107 5.342 0.437
O 2.975 7.835 9.363
Zr 4.677 2.593 22.422
O 5.274 1.207 9.638
Na 1.641 2.360 21.127
O 2.963 2.862 9.585
Na 4.609 7.944 22.807
O -1.014 6.877 22.254
Zr -0.077 0.136 19.494
O 2.817 2.352 0.549
O 2.842 3.110 3.150
O 6.461 2.524 12.136
O 3.596 6.452 4.559
Zr 4.557 7.992 14.809
O 0.668 1.495 9.386
O 6.533 2.838 14.566
O 0.979 1.322 2.137
Si 6.436 0.059 17.067
S 3.245 5.626 5.774
O 5.166 4.304 0.654
Na 4.616 2.572 18.963
Si 5.949 0.286 1.981
Si 3.238 0.264 13.370
Zn 4.291 2.547 15.646
O 3.569 1.195 5.699
O -3.572 6.458 15.918
O 5.441 4.299 17.051
O 1.884 0.050 6.999
O 0.881 3.957 1.704
O 3.926 6.517 13.455
O -1.695 5.065 8.275
Na -1.351 2.700 1.974
Zr 0.022 0.012 3.394
O 5.088 0.826 3.220
O 5.608 3.932 9.627
O 5.260 6.479 2.150
O -1.799 5.512 10.897



Entry 13:
25
Lattice="-3.088 0.463 4.524 4.173 -3.209 3.034 3.910 6.566 1.057" Properties=species:S:1:pos:R:3 comment="Zn3As2H8O12 | the Materials Project database | PBE | relaxed" crystal_system=triclinic rho_g_cm3=3.54 e_tot_ha_per_atom=-0.1907 pbc="T T T"
O 3.948 5.572 2.340
O 4.866 2.103 6.865
O 2.459 3.350 2.524
O 0.510 2.505 4.858
As 4.446 3.652 6.166
Zn 2.982 -1.667 3.276
H 2.026 -0.394 6.071
H 4.774 2.266 3.832
H 1.447 2.504 5.189
H 2.242 0.948 6.914
O 4.485 1.315 3.757
Zn 2.013 5.486 5.338
O 1.047 -1.753 6.274
H 0.221 1.554 4.783
O 2.240 0.120 2.732
O -0.301 0.026 3.937
O 5.296 3.794 4.678
O 2.755 3.700 5.882
As 0.549 0.167 2.448
Zn 0.411 3.514 2.791
H 2.970 4.213 2.544
H 2.753 2.871 1.701
O 0.129 1.716 1.749
O 2.537 0.469 6.091
H 3.549 1.315 3.426



Entry 14:
4
Lattice="0.539 2.028 -3.471 0.539 -2.028 -3.471 -7.084 0.000 -3.471" Properties=species:S:1:pos:R:3 comment="TbTlS2 | the Materials Project database | PBE | relaxed" crystal_system=trigonal rho_g_cm3=6.61 e_tot_ha_per_atom=-0.1949 pbc="T T T"
S -4.890 0.000 -7.869
Tb 0.000 0.000 0.000
S -1.115 0.000 -2.543
Tl -3.003 0.000 -5.206